(1)
Rb2IO | the Materials Project | PBE | relaxed; spin magnetization = 0.250 μB per atom; ΔH_f (0 K) = -1217 meV/atom
1.0
8.074 0.000 0.000
0.000 5.549 0.000
0.000 0.000 12.983
Rb I O
8 4 4
Direct
0.107 0.250 0.230
0.151 0.250 0.551
0.349 0.750 0.051
0.393 0.750 0.730
0.607 0.250 0.270
0.651 0.250 0.949
0.849 0.750 0.449
0.893 0.750 0.770
0.159 0.250 0.875
0.341 0.750 0.375
0.659 0.250 0.625
0.841 0.750 0.125
0.100 0.750 0.610
0.400 0.250 0.110
0.600 0.750 0.890
0.900 0.250 0.390

---

(2)
Tl2WCl6 | the Materials Project | PBE | relaxed; ΔH_f (0 K) = -1339 meV/atom
1.0
0.000 5.036 5.036
5.036 0.000 5.036
5.036 5.036 0.000
Tl W Cl
2 1 6
Direct
0.250 0.250 0.250
0.750 0.750 0.750
0.000 0.000 0.000
0.238 0.238 0.762
0.238 0.762 0.238
0.238 0.762 0.762
0.762 0.238 0.238
0.762 0.238 0.762
0.762 0.762 0.238

---

(3)
Hf3N4 | the Materials Project | PBE | relaxed; ΔH_f (0 K) = -1870 meV/atom; relative energy among the computed polymorphs = 0.0 meV/atom
1.0
9.808 0.000 0.000
0.000 3.244 0.000
0.000 0.000 10.725
Hf N
12 16
Direct
0.070 0.250 0.124
0.106 0.250 0.593
0.227 0.250 0.853
0.273 0.750 0.353
0.394 0.750 0.093
0.430 0.750 0.624
0.570 0.250 0.376
0.606 0.250 0.907
0.727 0.250 0.647
0.773 0.750 0.147
0.894 0.750 0.407
0.930 0.750 0.876
0.008 0.250 0.775
0.103 0.750 0.470
0.142 0.750 0.982
0.237 0.750 0.714
0.263 0.250 0.214
0.358 0.250 0.482
0.397 0.250 0.970
0.492 0.750 0.275
0.508 0.250 0.725
0.603 0.750 0.030
0.642 0.750 0.518
0.737 0.750 0.786
0.763 0.250 0.286
0.858 0.250 0.018
0.897 0.250 0.530
0.992 0.750 0.225

---

(4)
Ta2OsRu | the Materials Project | PBE | relaxed; spin magnetization = 0.000 μB per atom; ΔH_f (0 K) = -271 meV/atom; relative energy among the computed polymorphs = 0.0 meV/atom
1.0
0.000 3.186 3.186
3.186 0.000 3.186
3.186 3.186 0.000
Ta Os Ru
2 1 1
Direct
0.250 0.250 0.250
0.750 0.750 0.750
0.000 0.000 0.000
0.500 0.500 0.500

---

(5)
YMg3 | the Materials Project | PBE | relaxed; ΔH_f (0 K) = -59 meV/atom
1.0
5.058 0.000 0.000
0.000 5.058 0.000
0.000 0.000 3.968
Y Mg
1 3
Direct
0.000 0.000 0.000
0.000 0.500 0.500
0.500 0.000 0.500
0.500 0.500 0.000

---

(6)
ZrPt | the Materials Project | PBE | relaxed; spin magnetization = 0.001 μB per atom; ΔH_f (0 K) = -909 meV/atom
1.0
3.360 0.000 0.000
0.000 3.360 0.000
0.000 0.000 3.360
Zr Pt
1 1
Direct
0.000 0.000 0.000
0.500 0.500 0.500

---

(7)
MgGa2S4 | the Materials Project | PBE | relaxed; ΔH_f (0 K) = -1187 meV/atom
1.0
6.433 -11.384 0.000
6.433 11.384 0.000
-2.088 0.000 6.131
Mg Ga S
6 12 24
Direct
0.044 0.956 0.750
0.130 0.870 0.250
0.218 0.782 0.750
0.782 0.218 0.250
0.870 0.130 0.750
0.956 0.044 0.250
0.115 0.517 0.147
0.167 0.417 0.618
0.248 0.328 0.118
0.328 0.248 0.618
0.417 0.167 0.118
0.483 0.885 0.353
0.517 0.115 0.647
0.583 0.833 0.882
0.672 0.752 0.382
0.752 0.672 0.882
0.833 0.583 0.382
0.885 0.483 0.853
0.024 0.760 0.517
0.064 0.151 0.983
0.088 0.656 0.003
0.151 0.064 0.483
0.187 0.583 0.513
0.240 0.976 0.983
0.257 0.492 0.000
0.326 0.408 0.501
0.344 0.912 0.497
0.408 0.326 0.001
0.417 0.813 0.987
0.492 0.257 0.500
0.508 0.743 0.500
0.583 0.187 0.013
0.592 0.674 0.999
0.656 0.088 0.503
0.674 0.592 0.499
0.743 0.508 0.000
0.760 0.024 0.017
0.813 0.417 0.487
0.849 0.936 0.517
0.912 0.344 0.997
0.936 0.849 0.017
0.976 0.240 0.483

---

(8)
Rb2NaScI6 | the Materials Project | PBE | relaxed; ΔH_f (0 K) = -1564 meV/atom
1.0
0.000 6.043 6.043
6.043 0.000 6.043
6.043 6.043 0.000
Rb Na Sc I
2 1 1 6
Direct
0.250 0.250 0.250
0.750 0.750 0.750
0.000 0.000 0.000
0.500 0.500 0.500
0.261 0.261 0.739
0.261 0.739 0.261
0.261 0.739 0.739
0.739 0.261 0.261
0.739 0.261 0.739
0.739 0.739 0.261

---

(9)
CaMg6Nb | the Materials Project | PBE | relaxed; spin magnetization = 0.116 μB per atom; ΔH_f (0 K) = 209 meV/atom; relative energy among the computed polymorphs = 95.8 meV/atom
1.0
-4.391 -1.679 -2.139
0.152 -5.247 3.807
-5.899 5.490 7.801
Ca Mg Nb
2 12 2
Direct
0.000 0.500 0.331
0.000 0.000 0.831
0.000 0.266 0.087
0.000 0.734 0.087
0.000 0.500 0.834
0.500 0.255 0.919
0.500 0.745 0.919
0.500 0.500 0.665
0.000 0.766 0.587
0.000 0.234 0.587
0.000 0.000 0.334
0.500 0.755 0.419
0.500 0.245 0.419
0.500 0.000 0.165
0.500 0.500 0.159
0.500 0.000 0.659

---

(10)
MgSbAsO5 | the Materials Project | PBE | relaxed; spin magnetization = 0.000 μB per atom; ΔH_f (0 K) = -2027 meV/atom
1.0
7.267 0.000 0.000
0.000 7.291 0.000
0.000 0.000 8.832
Mg Sb As O
4 4 4 20
Direct
0.019 0.121 0.306
0.481 0.879 0.806
0.519 0.379 0.694
0.981 0.621 0.194
0.249 0.271 0.962
0.251 0.729 0.462
0.749 0.229 0.038
0.751 0.771 0.538
0.031 0.853 0.857
0.469 0.147 0.357
0.531 0.647 0.143
0.969 0.353 0.643
0.019 0.675 0.978
0.050 0.841 0.339
0.058 0.055 0.965
0.176 0.379 0.740
0.213 0.844 0.735
0.287 0.156 0.235
0.324 0.621 0.240
0.442 0.945 0.465
0.450 0.159 0.839
0.481 0.325 0.478
0.519 0.825 0.022
0.550 0.659 0.661
0.558 0.445 0.035
0.676 0.121 0.260
0.713 0.656 0.265
0.787 0.344 0.765
0.824 0.879 0.760
0.942 0.555 0.535
0.950 0.341 0.161
0.981 0.175 0.522

---

(11)
YNi2B2 | the Materials Project | PBE | relaxed; ΔH_f (0 K) = -558 meV/atom
1.0
4.217 -2.644 0.000
4.217 2.644 0.000
-4.152 0.000 5.489
Y Ni B
2 4 4
Direct
0.118 0.882 0.750
0.882 0.118 0.250
0.278 0.467 0.299
0.467 0.278 0.799
0.533 0.722 0.201
0.722 0.533 0.701
0.155 0.504 0.976
0.496 0.845 0.524
0.504 0.155 0.476
0.845 0.496 0.024

---

(12)
CdPbO6 | the Materials Project | PBE | relaxed; spin magnetization = 0.153 μB per atom; ΔH_f (0 K) = -412 meV/atom
1.0
7.889 0.000 0.000
0.000 7.889 0.000
0.000 0.000 7.889
Cd Pb O
4 4 24
Direct
0.000 0.000 0.000
0.000 0.500 0.500
0.500 0.000 0.500
0.500 0.500 0.000
0.000 0.000 0.500
0.000 0.500 0.000
0.500 0.000 0.000
0.500 0.500 0.500
0.087 0.743 0.663
0.087 0.757 0.837
0.163 0.587 0.257
0.163 0.913 0.243
0.243 0.163 0.913
0.243 0.337 0.587
0.257 0.163 0.587
0.257 0.337 0.913
0.337 0.587 0.243
0.337 0.913 0.257
0.413 0.743 0.837
0.413 0.757 0.663
0.587 0.243 0.337
0.587 0.257 0.163
0.663 0.087 0.743
0.663 0.413 0.757
0.743 0.663 0.087
0.743 0.837 0.413
0.757 0.663 0.413
0.757 0.837 0.087
0.837 0.087 0.757
0.837 0.413 0.743
0.913 0.243 0.163
0.913 0.257 0.337

---

> The highest ΔH_f (0 K) belongs to which entry?

CaMg6Nb

---

> Among the records above, which one has the lowest ΔH_f (0 K)?

MgSbAsO5

---

Copy entry 2 word for word.
Tl2WCl6 | the Materials Project | PBE | relaxed; ΔH_f (0 K) = -1339 meV/atom
1.0
0.000 5.036 5.036
5.036 0.000 5.036
5.036 5.036 0.000
Tl W Cl
2 1 6
Direct
0.250 0.250 0.250
0.750 0.750 0.750
0.000 0.000 0.000
0.238 0.238 0.762
0.238 0.762 0.238
0.238 0.762 0.762
0.762 0.238 0.238
0.762 0.238 0.762
0.762 0.762 0.238